Arrangement A

Te2As2SI6O2F12 | Materials Project | PBE-GGA | relaxed; SG = P1; total moment = 0.00 μB per cell
1.0
-11.368 -6.242 3.291
7.389 -10.504 4.366
0.622 5.879 12.220
Te As S I O F
8 8 4 24 8 48
Direct
0.647 0.200 0.703
0.584 0.800 0.745
0.102 0.624 0.767
0.073 0.395 0.763
0.849 0.361 0.215
0.901 0.552 0.293
0.442 0.126 0.297
0.428 0.914 0.255
0.478 0.001 0.955
0.352 0.478 0.720
0.810 0.009 0.862
0.054 0.423 0.486
0.354 0.002 0.527
0.148 0.946 0.238
0.641 0.521 0.309
0.953 0.548 0.028
0.286 0.113 0.870
0.735 0.499 0.710
0.254 0.509 0.209
0.737 0.968 0.346
0.132 0.151 0.950
0.119 0.818 0.880
0.743 0.661 0.880
0.696 0.378 0.847
0.406 0.248 0.876
0.369 0.690 0.850
0.924 0.752 0.637
0.869 0.168 0.597
0.158 0.202 0.611
0.173 0.902 0.607
0.564 0.300 0.554
0.599 0.681 0.590
0.395 0.325 0.395
0.332 0.671 0.393
0.790 0.132 0.393
0.854 0.853 0.404
0.090 0.778 0.344
0.067 0.170 0.312
0.595 0.311 0.094
0.583 0.645 0.079
0.276 0.351 0.139
0.305 0.621 0.086
0.905 0.164 0.049
0.963 0.886 0.013
0.231 0.730 0.786
0.759 0.446 0.617
0.112 0.283 0.375
0.226 0.716 0.299
0.693 0.317 0.205
0.632 0.666 0.205
0.835 0.906 0.945
0.805 0.114 0.943
0.608 0.169 0.066
0.591 0.782 0.048
0.478 0.473 0.762
0.974 0.604 0.833
0.988 0.405 0.875
0.508 0.636 0.913
0.188 0.383 0.858
0.155 0.583 0.894
0.453 0.977 0.827
0.916 0.218 0.733
0.900 0.804 0.774
0.600 0.951 0.940
0.086 0.532 0.558
0.360 0.367 0.649
0.375 0.556 0.619
0.954 0.432 0.680
0.623 0.081 0.617
0.684 0.893 0.697
0.135 0.061 0.659
0.384 0.065 0.640
0.427 0.900 0.557
0.936 0.022 0.824
0.165 0.364 0.570
0.207 0.768 0.566
0.945 0.710 0.481
0.866 0.327 0.359
0.015 0.983 0.227
0.468 0.078 0.444
0.529 0.891 0.357
0.097 0.067 0.415
0.304 0.114 0.335
0.324 0.910 0.367
0.120 0.476 0.387
0.653 0.415 0.385
0.674 0.604 0.409
0.922 0.506 0.433
0.290 0.954 0.171
0.019 0.237 0.172
0.125 0.875 0.124
0.536 0.963 0.164
0.824 0.425 0.083
0.880 0.601 0.133
0.569 0.463 0.111
0.045 0.640 0.057
0.022 0.459 0.094
0.511 0.533 0.327
0.386 0.152 0.166
0.415 0.892 0.990

---

Arrangement B

Te2As2SI6O2F12 | Materials Project | PBE-GGA | relaxed; SG = P1; total moment = 0.00 μB per cell
1.0
14.305 0.000 0.000
1.533 14.357 0.000
0.153 1.231 14.560
Te As S I O F
8 8 4 24 8 48
Direct
0.661 0.297 0.197
0.586 0.208 0.779
0.076 0.221 0.618
0.066 0.248 0.409
0.840 0.809 0.360
0.891 0.709 0.530
0.442 0.684 0.132
0.431 0.758 0.933
0.494 0.034 0.997
0.347 0.294 0.478
0.843 0.145 0.012
0.069 0.520 0.390
0.357 0.481 0.002
0.161 0.762 0.913
0.625 0.668 0.533
0.935 0.969 0.552
0.306 0.104 0.130
0.738 0.304 0.488
0.276 0.798 0.498
0.765 0.664 0.941
0.159 0.040 0.167
0.112 0.116 0.807
0.743 0.130 0.697
0.706 0.173 0.390
0.408 0.099 0.261
0.344 0.170 0.697
0.922 0.356 0.748
0.870 0.417 0.154
0.165 0.384 0.197
0.178 0.382 0.915
0.560 0.438 0.275
0.576 0.380 0.688
0.406 0.628 0.320
0.291 0.631 0.678
0.815 0.619 0.098
0.861 0.584 0.831
0.056 0.655 0.773
0.069 0.693 0.180
0.603 0.909 0.325
0.591 0.917 0.636
0.230 0.888 0.355
0.304 0.913 0.601
0.918 0.958 0.166
0.981 0.991 0.893
0.203 0.207 0.715
0.744 0.392 0.429
0.115 0.626 0.288
0.188 0.706 0.741
0.698 0.803 0.353
0.636 0.793 0.647
0.862 0.064 0.922
0.828 0.069 0.113
0.635 0.907 0.192
0.590 0.938 0.766
0.457 0.227 0.475
0.959 0.166 0.601
0.015 0.131 0.402
0.513 0.143 0.674
0.192 0.173 0.402
0.137 0.103 0.585
0.461 0.157 0.990
0.914 0.287 0.210
0.905 0.224 0.803
0.596 0.049 0.928
0.077 0.419 0.482
0.359 0.350 0.367
0.385 0.385 0.537
0.934 0.297 0.434
0.639 0.354 0.071
0.665 0.249 0.874
0.154 0.326 0.076
0.383 0.375 0.071
0.433 0.448 0.913
0.964 0.162 0.026
0.172 0.449 0.341
0.197 0.422 0.785
0.936 0.501 0.701
0.845 0.685 0.309
0.067 0.789 0.992
0.449 0.538 0.065
0.534 0.671 0.905
0.114 0.601 0.091
0.312 0.669 0.116
0.350 0.652 0.913
0.134 0.581 0.461
0.634 0.585 0.448
0.663 0.583 0.625
0.911 0.588 0.477
0.243 0.826 0.971
0.005 0.817 0.247
0.124 0.866 0.840
0.528 0.836 0.977
0.809 0.925 0.432
0.879 0.868 0.601
0.572 0.911 0.465
0.019 0.955 0.641
0.007 0.906 0.475
0.503 0.660 0.553
0.413 0.812 0.158
0.421 0.015 0.905

---

Least stable of them? arrangement A.

---

Arrangement A

Li3AsF6 | Materials Project | PBE-GGA | relaxed; SG = Fm-3m; total moment = 0.00 μB per cell
1.0
0.000 4.015 4.015
4.015 0.000 4.015
4.015 4.015 0.000
Li As F
3 1 6
Direct
0.250 0.250 0.250
0.750 0.750 0.750
0.500 0.500 0.500
0.000 0.000 0.000
0.254 0.254 0.746
0.254 0.746 0.746
0.746 0.746 0.254
0.254 0.746 0.254
0.746 0.254 0.746
0.746 0.254 0.254

---

Arrangement B

Li3AsF6 | Materials Project | PBE-GGA | relaxed; SG = P-1; total moment = 0.00 μB per cell
1.0
-3.262 3.163 -2.951
5.312 -4.943 -2.062
-3.759 -6.118 0.532
Li As F
3 1 6
Direct
0.000 0.000 0.500
0.500 0.500 0.000
0.000 0.500 0.000
0.000 0.000 0.000
0.037 0.293 0.897
0.963 0.707 0.103
0.919 0.886 0.734
0.081 0.114 0.266
0.489 0.747 0.000
0.511 0.253 0.000

---

Least stable of them? arrangement A.

---

Arrangement A

AsSXeNF10 | Materials Project | PBE-GGA | relaxed; SG = C2/c; total moment = 0.00 μB per cell
1.0
10.131 -9.129 -0.701
12.146 -5.629 2.692
0.955 -10.957 10.733
As S Xe N F
4 4 4 4 40
Direct
0.180 0.017 0.025
0.983 0.820 0.475
0.820 0.983 0.975
0.017 0.180 0.525
0.387 0.221 0.321
0.779 0.613 0.179
0.613 0.779 0.679
0.221 0.387 0.821
0.470 0.414 0.182
0.586 0.530 0.318
0.530 0.586 0.818
0.414 0.470 0.682
0.588 0.137 0.285
0.863 0.412 0.215
0.412 0.863 0.715
0.137 0.588 0.785
0.196 0.343 0.419
0.657 0.804 0.081
0.804 0.657 0.581
0.343 0.196 0.919
0.145 0.509 0.261
0.491 0.855 0.239
0.855 0.491 0.739
0.509 0.145 0.761
0.612 0.937 0.384
0.063 0.388 0.116
0.388 0.063 0.616
0.937 0.612 0.884
0.366 0.159 0.277
0.841 0.634 0.223
0.634 0.841 0.723
0.159 0.366 0.777
0.986 0.312 0.995
0.688 0.014 0.505
0.014 0.688 0.005
0.312 0.986 0.495
0.384 0.709 0.056
0.291 0.616 0.444
0.616 0.291 0.944
0.709 0.384 0.556
0.397 0.894 0.915
0.106 0.603 0.585
0.603 0.106 0.085
0.894 0.397 0.415
0.974 0.124 0.137
0.876 0.026 0.363
0.026 0.876 0.863
0.124 0.974 0.637
0.372 0.881 0.093
0.119 0.628 0.407
0.628 0.119 0.907
0.881 0.372 0.593
0.998 0.138 0.959
0.862 0.002 0.541
0.002 0.862 0.041
0.138 0.998 0.459

---

Arrangement B

AsSXeNF10 | Materials Project | PBE-GGA | relaxed; SG = Pbca; total moment = 0.01 μB per cell
1.0
9.101 0.000 0.000
0.000 12.789 0.000
0.000 0.000 16.788
As S Xe N F
8 8 8 8 80
Direct
0.223 0.090 0.137
0.723 0.090 0.363
0.777 0.590 0.363
0.723 0.410 0.863
0.223 0.410 0.637
0.777 0.910 0.863
0.277 0.590 0.137
0.277 0.910 0.637
0.789 0.841 0.562
0.711 0.341 0.562
0.289 0.659 0.438
0.211 0.159 0.438
0.711 0.159 0.062
0.789 0.659 0.062
0.211 0.341 0.938
0.289 0.841 0.938
0.949 0.683 0.708
0.551 0.183 0.708
0.449 0.683 0.792
0.051 0.317 0.292
0.449 0.817 0.292
0.949 0.817 0.208
0.051 0.183 0.792
0.551 0.317 0.208
0.314 0.754 0.396
0.686 0.246 0.604
0.186 0.246 0.896
0.686 0.254 0.104
0.314 0.746 0.896
0.186 0.254 0.396
0.814 0.754 0.104
0.814 0.746 0.604
0.144 0.656 0.485
0.032 0.086 0.158
0.238 0.955 0.156
0.610 0.125 0.992
0.686 0.064 0.465
0.390 0.875 0.008
0.238 0.881 0.738
0.262 0.045 0.656
0.434 0.375 0.300
0.790 0.727 0.383
0.066 0.625 0.800
0.290 0.773 0.617
0.223 0.449 0.898
0.314 0.936 0.535
0.738 0.545 0.844
0.434 0.125 0.800
0.223 0.051 0.398
0.186 0.436 0.535
0.414 0.404 0.615
0.762 0.045 0.844
0.032 0.414 0.658
0.762 0.119 0.262
0.186 0.064 0.035
0.814 0.564 0.465
0.723 0.051 0.102
0.262 0.381 0.738
0.777 0.949 0.602
0.890 0.875 0.492
0.086 0.596 0.115
0.723 0.449 0.602
0.110 0.125 0.508
0.610 0.375 0.492
0.762 0.381 0.762
0.210 0.227 0.117
0.356 0.344 0.985
0.262 0.455 0.156
0.390 0.625 0.508
0.814 0.936 0.965
0.777 0.551 0.102
0.762 0.455 0.344
0.532 0.086 0.342
0.790 0.773 0.883
0.468 0.914 0.658
0.738 0.881 0.762
0.890 0.625 0.992
0.566 0.875 0.200
0.738 0.619 0.262
0.314 0.564 0.035
0.968 0.586 0.342
0.277 0.949 0.898
0.856 0.344 0.515
0.644 0.844 0.515
0.144 0.844 0.985
0.710 0.273 0.883
0.210 0.273 0.617
0.914 0.096 0.385
0.414 0.096 0.115
0.738 0.955 0.344
0.277 0.551 0.398
0.856 0.156 0.015
0.566 0.625 0.700
0.586 0.596 0.385
0.086 0.904 0.615
0.468 0.586 0.158
0.238 0.619 0.238
0.290 0.727 0.117
0.644 0.656 0.015
0.110 0.375 0.008
0.238 0.545 0.656
0.934 0.125 0.700
0.532 0.414 0.842
0.356 0.156 0.485
0.968 0.914 0.842
0.934 0.375 0.200
0.686 0.436 0.965
0.914 0.404 0.885
0.710 0.227 0.383
0.262 0.119 0.238
0.586 0.904 0.885
0.066 0.875 0.300

---

Least stable of them? arrangement B.